Material: NaYF4
Method: DFT, r2SCAN
State: optimized geometry

Properties
Its formation energy is -4.0011 eV per atom. The calculated volume comes out at 214.8 Å³/cell.

Structure (CIF):
```
data_NaYF4
_cell_length_a 5.933
_cell_length_b 5.933
_cell_length_c 7.045
_cell_angle_alpha 90.00
_cell_angle_beta 90.00
_cell_angle_gamma 120.00
_symmetry_space_group_name_H-M 'P 1'
_symmetry_Int_Tables_number 1
loop_
_symmetry_equiv_pos_as_xyz
'x,y,z'
loop_
_atom_site_label
_atom_site_type_symbol
_atom_site_fract_x
_atom_site_fract_y
_atom_site_fract_z
_atom_site_occupancy
Na1 Na 0.000 0.000 0.225 1
Na2 Na 0.000 0.000 0.730 1
Na3 Na 0.667 0.333 0.629 1
Y1 Y 0.333 0.667 0.393 1
Y2 Y 0.333 0.667 0.881 1
Y3 Y 0.667 0.333 0.131 1
F1 F 0.087 0.686 0.135 1
F2 F 0.095 0.696 0.636 1
F3 F 0.314 0.401 0.135 1
F4 F 0.304 0.400 0.636 1
F5 F 0.599 0.913 0.135 1
F6 F 0.600 0.905 0.636 1
F7 F 0.381 0.074 0.365 1
F8 F 0.377 0.073 0.901 1
F9 F 0.693 0.619 0.365 1
F10 F 0.697 0.623 0.901 1
F11 F 0.926 0.307 0.365 1
F12 F 0.927 0.303 0.901 1
```

Material: CaPrCd2
Method: DFT, r2SCAN
State: optimized geometry

Properties
Its formation energy is -0.4028 eV per atom. The calculated volume comes out at 113.6 Å³/cell.

Structure (CIF):
```
data_CaPrCd2
_cell_length_a 5.436
_cell_length_b 5.436
_cell_length_c 5.436
_cell_angle_alpha 60.00
_cell_angle_beta 60.00
_cell_angle_gamma 60.00
_symmetry_space_group_name_H-M 'P 1'
_symmetry_Int_Tables_number 1
loop_
_symmetry_equiv_pos_as_xyz
'x,y,z'
loop_
_atom_site_label
_atom_site_type_symbol
_atom_site_fract_x
_atom_site_fract_y
_atom_site_fract_z
_atom_site_occupancy
Ca1 Ca 0.250 0.250 0.250 1
Pr1 Pr 0.750 0.750 0.750 1
Cd1 Cd 0.500 0.500 0.500 1
Cd2 Cd 0.000 0.000 0.000 1
```

Material: Sc3RuC4
Method: DFT, r2SCAN
State: optimized geometry

Properties
Its formation energy is -0.5757 eV per atom. The calculated volume comes out at 185.4 Å³/cell.

Structure (CIF):
```
data_Sc3RuC4
_cell_length_a 6.794
_cell_length_b 6.794
_cell_length_c 6.682
_cell_angle_alpha 75.76
_cell_angle_beta 75.76
_cell_angle_gamma 38.49
_symmetry_space_group_name_H-M 'P 1'
_symmetry_Int_Tables_number 1
loop_
_symmetry_equiv_pos_as_xyz
'x,y,z'
loop_
_atom_site_label
_atom_site_type_symbol
_atom_site_fract_x
_atom_site_fract_y
_atom_site_fract_z
_atom_site_occupancy
Sc1 Sc 0.500 0.500 0.000 1
Sc2 Sc 0.500 0.500 0.500 1
Sc3 Sc 0.189 0.189 0.906 1
Sc4 Sc 0.811 0.811 0.094 1
Sc5 Sc 0.191 0.191 0.405 1
Sc6 Sc 0.809 0.809 0.595 1
Ru1 Ru 0.000 0.000 0.737 1
Ru2 Ru 0.000 0.000 0.263 1
C1 C 0.469 0.788 0.685 1
C2 C 0.788 0.469 0.685 1
C3 C 0.531 0.212 0.315 1
C4 C 0.212 0.531 0.315 1
C5 C 0.211 0.530 0.814 1
C6 C 0.530 0.211 0.814 1
C7 C 0.789 0.470 0.186 1
C8 C 0.470 0.789 0.186 1
```

Material: Sm2GaNi2
Method: DFT, r2SCAN
State: optimized geometry

Properties
Its formation energy is -0.5105 eV per atom. The calculated volume comes out at 95.1 Å³/cell.

Structure (CIF):
```
data_Sm2GaNi2
_cell_length_a 4.236
_cell_length_b 5.361
_cell_length_c 5.404
_cell_angle_alpha 119.73
_cell_angle_beta 113.04
_cell_angle_gamma 90.00
_symmetry_space_group_name_H-M 'P 1'
_symmetry_Int_Tables_number 1
loop_
_symmetry_equiv_pos_as_xyz
'x,y,z'
loop_
_atom_site_label
_atom_site_type_symbol
_atom_site_fract_x
_atom_site_fract_y
_atom_site_fract_z
_atom_site_occupancy
Sm1 Sm 0.799 0.299 0.598 1
Sm2 Sm 0.201 0.701 0.402 1
Ga1 Ga 0.000 0.000 0.000 1
Ni1 Ni 0.500 0.263 0.000 1
Ni2 Ni 0.500 0.737 0.000 1
```

Material: Tb3Ge5
Method: DFT, r2SCAN
State: optimized geometry

Properties
Its formation energy is -0.7953 eV per atom. The calculated volume comes out at 343.9 Å³/cell.

Structure (CIF):
```
data_Tb3Ge5
_cell_length_a 6.905
_cell_length_b 6.905
_cell_length_c 8.328
_cell_angle_alpha 90.00
_cell_angle_beta 90.00
_cell_angle_gamma 120.00
_symmetry_space_group_name_H-M 'P 1'
_symmetry_Int_Tables_number 1
loop_
_symmetry_equiv_pos_as_xyz
'x,y,z'
loop_
_atom_site_label
_atom_site_type_symbol
_atom_site_fract_x
_atom_site_fract_y
_atom_site_fract_z
_atom_site_occupancy
Tb1 Tb 0.333 0.000 0.000 1
Tb2 Tb 0.667 0.667 0.000 1
Tb3 Tb 0.000 0.333 0.000 1
Tb4 Tb 0.000 0.333 0.500 1
Tb5 Tb 0.667 0.667 0.500 1
Tb6 Tb 0.333 0.000 0.500 1
Ge1 Ge 0.000 0.000 0.250 1
Ge2 Ge 0.670 0.066 0.250 1
Ge3 Ge 0.396 0.330 0.250 1
Ge4 Ge 0.934 0.604 0.250 1
Ge5 Ge 0.333 0.667 0.250 1
Ge6 Ge 0.000 0.000 0.750 1
Ge7 Ge 0.667 0.333 0.750 1
Ge8 Ge 0.330 0.396 0.750 1
Ge9 Ge 0.066 0.670 0.750 1
Ge10 Ge 0.604 0.934 0.750 1
```

Material: Li3PrBi2
Method: DFT, r2SCAN
State: optimized geometry

Properties
Its formation energy is -0.8382 eV per atom. The calculated volume comes out at 144.2 Å³/cell.

Structure (CIF):
```
data_Li3PrBi2
_cell_length_a 4.708
_cell_length_b 4.702
_cell_length_c 7.519
_cell_angle_alpha 90.00
_cell_angle_beta 90.09
_cell_angle_gamma 119.96
_symmetry_space_group_name_H-M 'P 1'
_symmetry_Int_Tables_number 1
loop_
_symmetry_equiv_pos_as_xyz
'x,y,z'
loop_
_atom_site_label
_atom_site_type_symbol
_atom_site_fract_x
_atom_site_fract_y
_atom_site_fract_z
_atom_site_occupancy
Li1 Li 0.664 0.332 0.646 1
Li2 Li 0.336 0.668 0.354 1
Li3 Li 0.000 0.000 0.500 1
Pr1 Pr 0.000 0.000 0.000 1
Bi1 Bi 0.668 0.334 0.255 1
Bi2 Bi 0.332 0.666 0.745 1
```

Material: Al2FeRh
Method: DFT, r2SCAN
State: optimized geometry

Properties
Its formation energy is -0.6437 eV per atom. The calculated volume comes out at 49.5 Å³/cell.

Structure (CIF):
```
data_Al2FeRh
_cell_length_a 4.122
_cell_length_b 4.122
_cell_length_c 4.122
_cell_angle_alpha 60.00
_cell_angle_beta 60.00
_cell_angle_gamma 60.00
_symmetry_space_group_name_H-M 'P 1'
_symmetry_Int_Tables_number 1
loop_
_symmetry_equiv_pos_as_xyz
'x,y,z'
loop_
_atom_site_label
_atom_site_type_symbol
_atom_site_fract_x
_atom_site_fract_y
_atom_site_fract_z
_atom_site_occupancy
Al1 Al 0.750 0.750 0.750 1
Al2 Al 0.250 0.250 0.250 1
Fe1 Fe 0.500 0.500 0.500 1
Rh1 Rh 0.000 0.000 0.000 1
```

Material: LaMg3
Method: DFT, r2SCAN
State: optimized geometry

Properties
Its formation energy is -0.1477 eV per atom. The calculated volume comes out at 208.9 Å³/cell.

Structure (CIF):
```
data_LaMg3
_cell_length_a 5.281
_cell_length_b 5.281
_cell_length_c 7.491
_cell_angle_alpha 90.00
_cell_angle_beta 90.00
_cell_angle_gamma 90.00
_symmetry_space_group_name_H-M 'P 1'
_symmetry_Int_Tables_number 1
loop_
_symmetry_equiv_pos_as_xyz
'x,y,z'
loop_
_atom_site_label
_atom_site_type_symbol
_atom_site_fract_x
_atom_site_fract_y
_atom_site_fract_z
_atom_site_occupancy
La1 La 0.000 0.000 0.000 1
La2 La 0.500 0.500 0.500 1
Mg1 Mg 0.500 0.500 0.000 1
Mg2 Mg 0.500 0.000 0.250 1
Mg3 Mg 0.000 0.500 0.250 1
Mg4 Mg 0.000 0.000 0.500 1
Mg5 Mg 0.000 0.500 0.750 1
Mg6 Mg 0.500 0.000 0.750 1
```

Material: LiYF4
Method: DFT, r2SCAN
State: optimized geometry

Properties
The value obtained for the offset from the most stable computed form is 0.0 meV per atom. Its formation energy is -4.0553 eV per atom. The calculated volume comes out at 141.9 Å³/cell.

Structure (CIF):
```
data_LiYF4
_cell_length_a 5.136
_cell_length_b 5.151
_cell_length_c 6.470
_cell_angle_alpha 113.24
_cell_angle_beta 113.20
_cell_angle_gamma 90.37
_symmetry_space_group_name_H-M 'P 1'
_symmetry_Int_Tables_number 1
loop_
_symmetry_equiv_pos_as_xyz
'x,y,z'
loop_
_atom_site_label
_atom_site_type_symbol
_atom_site_fract_x
_atom_site_fract_y
_atom_site_fract_z
_atom_site_occupancy
Li1 Li 0.375 0.123 0.746 1
Li2 Li 0.625 0.877 0.254 1
Y1 Y 0.125 0.375 0.249 1
Y2 Y 0.875 0.625 0.751 1
F1 F 0.459 0.764 0.587 1
F2 F 0.264 0.632 0.088 1
F3 F 0.871 0.677 0.412 1
F4 F 0.823 0.956 0.088 1
F5 F 0.541 0.236 0.413 1
F6 F 0.129 0.323 0.588 1
F7 F 0.177 0.044 0.912 1
F8 F 0.736 0.368 0.912 1
```

Material: EuCd2In
Method: DFT, r2SCAN
State: optimized geometry

Properties
Its formation energy is -0.3621 eV per atom. The calculated volume comes out at 99.8 Å³/cell.

Structure (CIF):
```
data_EuCd2In
_cell_length_a 5.207
_cell_length_b 5.207
_cell_length_c 5.207
_cell_angle_alpha 60.00
_cell_angle_beta 60.00
_cell_angle_gamma 60.00
_symmetry_space_group_name_H-M 'P 1'
_symmetry_Int_Tables_number 1
loop_
_symmetry_equiv_pos_as_xyz
'x,y,z'
loop_
_atom_site_label
_atom_site_type_symbol
_atom_site_fract_x
_atom_site_fract_y
_atom_site_fract_z
_atom_site_occupancy
Eu1 Eu 0.500 0.500 0.500 1
Cd1 Cd 0.750 0.750 0.750 1
Cd2 Cd 0.250 0.250 0.250 1
In1 In 0.000 0.000 0.000 1
```